[1]
# CsHoNb6Br18, relaxed, DFT PBE-GGA
# ΔH_f (0 K) = -1.514 eV per atom
# Crystal system = trigonal
# Magnetization = 0.07 Bohr magnetons per cell
# Electronic total energy = -250.6 eV per cell
data_CsHoNb6Br18
_chemical_formula_sum 'Cs2 Ho2 Nb12 Br36'
_cell_length_a 9.933
_cell_length_b 9.933
_cell_length_c 18.545
_cell_angle_alpha 90.00
_cell_angle_beta 90.00
_cell_angle_gamma 120.00
_symmetry_space_group_name_H-M 'P 1'
_symmetry_Int_Tables_number 1
_symmetry_space_group_name_Hall 'P 1'
loop_
_atom_site_label
_atom_site_type_symbol
_atom_site_fract_x
_atom_site_fract_y
_atom_site_fract_z
Cs1 Cs 0.333 0.667 0.250
Cs2 Cs 0.667 0.333 0.750
Ho1 Ho 0.333 0.667 0.750
Ho2 Ho 0.667 0.333 0.250
Nb1 Nb 0.039 0.188 0.935
Nb2 Nb 0.039 0.850 0.565
Nb3 Nb 0.150 0.188 0.565
Nb4 Nb 0.150 0.961 0.935
Nb5 Nb 0.188 0.039 0.435
Nb6 Nb 0.188 0.150 0.065
Nb7 Nb 0.812 0.850 0.935
Nb8 Nb 0.812 0.961 0.565
Nb9 Nb 0.850 0.039 0.065
Nb10 Nb 0.850 0.812 0.435
Nb11 Nb 0.961 0.150 0.435
Nb12 Nb 0.961 0.812 0.065
Br1 Br 0.047 0.232 0.159
Br2 Br 0.047 0.814 0.341
Br3 Br 0.086 0.450 0.838
Br4 Br 0.086 0.637 0.662
Br5 Br 0.139 0.416 0.499
Br6 Br 0.139 0.723 0.001
Br7 Br 0.186 0.232 0.341
Br8 Br 0.186 0.953 0.159
Br9 Br 0.232 0.047 0.659
Br10 Br 0.232 0.186 0.841
Br11 Br 0.277 0.416 0.001
Br12 Br 0.277 0.861 0.499
Br13 Br 0.363 0.450 0.662
Br14 Br 0.363 0.914 0.838
Br15 Br 0.416 0.139 0.999
Br16 Br 0.416 0.277 0.501
Br17 Br 0.450 0.086 0.338
Br18 Br 0.450 0.363 0.162
Br19 Br 0.550 0.637 0.838
Br20 Br 0.550 0.914 0.662
Br21 Br 0.584 0.723 0.499
Br22 Br 0.584 0.861 0.001
Br23 Br 0.637 0.086 0.162
Br24 Br 0.637 0.550 0.338
Br25 Br 0.723 0.139 0.501
Br26 Br 0.723 0.584 0.999
Br27 Br 0.768 0.814 0.159
Br28 Br 0.768 0.953 0.341
Br29 Br 0.814 0.047 0.841
Br30 Br 0.814 0.768 0.659
Br31 Br 0.861 0.277 0.999
Br32 Br 0.861 0.584 0.501
Br33 Br 0.914 0.363 0.338
Br34 Br 0.914 0.550 0.162
Br35 Br 0.953 0.186 0.659
Br36 Br 0.953 0.768 0.841

---

[2]
# CsPbI2Br, relaxed, DFT PBE-GGA
# ΔH_f (0 K) = -1.202 eV per atom
# Crystal system = tetragonal
# Magnetization = 0.00 Bohr magnetons per cell
# Electronic total energy = -14.8 eV per cell
data_CsPbI2Br
_chemical_formula_sum 'Cs1 Pb1 I2 Br1'
_cell_length_a 6.375
_cell_length_b 6.375
_cell_length_c 5.962
_cell_angle_alpha 90.00
_cell_angle_beta 90.00
_cell_angle_gamma 90.00
_symmetry_space_group_name_H-M 'P 1'
_symmetry_Int_Tables_number 1
_symmetry_space_group_name_Hall 'P 1'
loop_
_atom_site_label
_atom_site_type_symbol
_atom_site_fract_x
_atom_site_fract_y
_atom_site_fract_z
Cs1 Cs 0.000 0.000 0.000
Pb1 Pb 0.500 0.500 0.500
I1 I 0.000 0.500 0.500
I2 I 0.500 0.000 0.500
Br1 Br 0.500 0.500 0.000

---

[3]
# Cs3InBr6, relaxed, DFT PBE-GGA
# ΔH_f (0 K) = -1.730 eV per atom
# Crystal system = cubic
# Electronic total energy = -29.4 eV per cell
data_Cs3InBr6
_chemical_formula_sum 'Cs3 In1 Br6'
_cell_length_a 8.648
_cell_length_b 8.648
_cell_length_c 8.648
_cell_angle_alpha 60.00
_cell_angle_beta 60.00
_cell_angle_gamma 60.00
_symmetry_space_group_name_H-M 'P 1'
_symmetry_Int_Tables_number 1
_symmetry_space_group_name_Hall 'P 1'
loop_
_atom_site_label
_atom_site_type_symbol
_atom_site_fract_x
_atom_site_fract_y
_atom_site_fract_z
Cs1 Cs 0.000 0.000 0.000
Cs2 Cs 0.250 0.250 0.250
Cs3 Cs 0.750 0.750 0.750
In1 In 0.500 0.500 0.500
Br1 Br 0.278 0.278 0.722
Br2 Br 0.278 0.722 0.278
Br3 Br 0.278 0.722 0.722
Br4 Br 0.722 0.278 0.278
Br5 Br 0.722 0.278 0.722
Br6 Br 0.722 0.722 0.278

---

[4]
# CsInBr3, relaxed, DFT PBE-GGA
# ΔH_f (0 K) = -1.530 eV per atom
# Crystal system = tetragonal
# Electronic total energy = -14.6 eV per cell
data_CsInBr3
_chemical_formula_sum 'Cs1 In1 Br3'
_cell_length_a 5.755
_cell_length_b 5.755
_cell_length_c 5.755
_cell_angle_alpha 90.00
_cell_angle_beta 90.00
_cell_angle_gamma 90.00
_symmetry_space_group_name_H-M 'P 1'
_symmetry_Int_Tables_number 1
_symmetry_space_group_name_Hall 'P 1'
loop_
_atom_site_label
_atom_site_type_symbol
_atom_site_fract_x
_atom_site_fract_y
_atom_site_fract_z
Cs1 Cs 0.000 0.000 0.000
In1 In 0.500 0.500 0.508
Br1 Br 0.000 0.500 0.508
Br2 Br 0.500 0.000 0.508
Br3 Br 0.500 0.500 0.008

---

[5]
# CsInBr3, relaxed, DFT PBE-GGA
# ΔH_f (0 K) = -1.531 eV per atom
# Crystal system = tetragonal
# Magnetization = 0.00 Bohr magnetons per cell
# Electronic total energy = -14.6 eV per cell
data_CsInBr3
_chemical_formula_sum 'Cs1 In1 Br3'
_cell_length_a 5.774
_cell_length_b 5.774
_cell_length_c 5.774
_cell_angle_alpha 90.00
_cell_angle_beta 90.00
_cell_angle_gamma 90.00
_symmetry_space_group_name_H-M 'P 1'
_symmetry_Int_Tables_number 1
_symmetry_space_group_name_Hall 'P 1'
loop_
_atom_site_label
_atom_site_type_symbol
_atom_site_fract_x
_atom_site_fract_y
_atom_site_fract_z
Cs1 Cs 0.000 0.000 0.000
In1 In 0.500 0.500 0.509
Br1 Br 0.000 0.500 0.508
Br2 Br 0.500 0.000 0.508
Br3 Br 0.500 0.500 0.008

---

[6]
# CsInBr3, relaxed, DFT PBE-GGA
# ΔH_f (0 K) = -1.550 eV per atom
# Crystal system = cubic
# Electronic total energy = -29.4 eV per cell
data_CsInBr3
_chemical_formula_sum 'Cs2 In2 Br6'
_cell_length_a 8.255
_cell_length_b 8.255
_cell_length_c 8.255
_cell_angle_alpha 60.00
_cell_angle_beta 60.00
_cell_angle_gamma 60.00
_symmetry_space_group_name_H-M 'P 1'
_symmetry_Int_Tables_number 1
_symmetry_space_group_name_Hall 'P 1'
loop_
_atom_site_label
_atom_site_type_symbol
_atom_site_fract_x
_atom_site_fract_y
_atom_site_fract_z
Cs1 Cs 0.250 0.250 0.250
Cs2 Cs 0.750 0.750 0.750
In1 In 0.000 0.000 0.000
In2 In 0.500 0.500 0.500
Br1 Br 0.235 0.235 0.765
Br2 Br 0.235 0.765 0.235
Br3 Br 0.235 0.765 0.765
Br4 Br 0.765 0.235 0.235
Br5 Br 0.765 0.235 0.765
Br6 Br 0.765 0.765 0.235